(1)
First-principles (GGA-PBE) data for a relaxed Na14La8Si7S5O48 crystal, as listed in the Materials Project database.

## Properties
Calculated formation energy (eV per atom): -2.838
M_tot (μB per formula unit): 0.0

Unit cell a=9.8418 b=16.9115 c=23.5396 alpha=89.58 beta=89.84 gamma=90.00
Fractional positions:
Na 0.0000 0.0000 0.0000
Na 0.0006 0.6634 0.6501
Na 0.0065 0.6926 0.3400
Na 0.0091 0.0479 0.6782
Na 0.0224 0.3598 0.6527
Na 0.0362 0.7010 0.9962
Na 0.0598 0.0291 0.3190
Na 0.1518 0.8570 0.9092
Na 0.1581 0.5241 0.5779
Na 0.1782 0.1774 0.2508
Na 0.1890 0.1777 0.7419
Na 0.1890 0.8424 0.4194
Na 0.1988 0.5277 0.0915
Na 0.3037 0.0321 0.8132
Na 0.3063 0.6931 0.4886
Na 0.3392 0.3633 0.1616
Na 0.3496 0.6953 0.8181
Na 0.3561 0.0005 0.5059
Na 0.3570 0.0488 0.1832
Na 0.3848 0.3429 0.8410
Na 0.4732 0.8408 0.3506
Na 0.4983 0.5012 0.0018
Na 0.5023 0.5515 0.6747
Na 0.5110 0.1962 0.3250
Na 0.5159 0.8598 0.6500
Na 0.5402 0.2005 0.9885
Na 0.5513 0.5361 0.3213
Na 0.6533 0.3583 0.9087
Na 0.6568 0.0217 0.5881
Na 0.6634 0.6785 0.2509
Na 0.6747 0.6796 0.7416
Na 0.6946 0.0130 0.0885
Na 0.7078 0.3611 0.4120
Na 0.8002 0.5332 0.8138
Na 0.8250 0.2005 0.4960
Na 0.8392 0.8552 0.1597
Na 0.8478 0.5513 0.1847
Na 0.8507 0.1918 0.8155
Na 0.8566 0.1647 0.1705
Na 0.8731 0.5127 0.5032
Na 0.8840 0.8434 0.8402
Na 0.9742 0.3485 0.3466
La 0.1688 0.5260 0.4320
La 0.1690 0.8550 0.0699
La 0.1737 0.1966 0.3996
La 0.1794 0.8509 0.5656
La 0.1790 0.8555 0.7607
La 0.1798 0.1963 0.5999
La 0.1797 0.5332 0.7346
La 0.1824 0.5400 0.2332
La 0.1819 0.8544 0.2625
La 0.1847 0.1945 0.8987
La 0.1863 0.5209 0.9304
La 0.1886 0.1957 0.0987
La 0.6703 0.3563 0.0682
La 0.6719 0.0196 0.4303
La 0.6737 0.0380 0.7312
La 0.6784 0.3550 0.7606
La 0.6787 0.0318 0.2367
La 0.6787 0.3574 0.2632
La 0.6790 0.6963 0.1010
La 0.6817 0.6962 0.5938
La 0.6845 0.6966 0.8988
La 0.6863 0.0220 0.9300
La 0.6864 0.6953 0.4037
La 0.6883 0.3563 0.5697
Si 0.0169 0.3482 0.4989
Si 0.0191 0.7023 0.1641
Si 0.0230 0.0131 0.1650
Si 0.0279 0.6805 0.8376
Si 0.3332 0.0111 0.6644
Si 0.3376 0.6797 0.3400
Si 0.3390 0.3488 0.9989
Si 0.3407 0.7032 0.6697
Si 0.3657 0.0262 0.3298
Si 0.4925 0.5242 0.8321
Si 0.5219 0.5128 0.1642
Si 0.5221 0.8504 0.5001
Si 0.5245 0.2013 0.1669
Si 0.5291 0.1797 0.8420
Si 0.8340 0.1808 0.3349
Si 0.8349 0.5143 0.6671
Si 0.8370 0.8491 0.9994
Si 0.8424 0.2018 0.6671
Si 0.8676 0.5254 0.3298
Si 0.9893 0.0255 0.8314
Si 0.9945 0.6901 0.4980
S 0.0218 0.3712 0.8292
S 0.0243 0.0413 0.4993
S 0.3315 0.3731 0.3286
S 0.3340 0.0376 0.9999
S 0.3663 0.6909 0.9956
S 0.3685 0.3612 0.6688
S 0.4901 0.8631 0.1673
S 0.4932 0.1910 0.4952
S 0.5244 0.8733 0.8289
S 0.5266 0.5365 0.4992
S 0.8326 0.5401 0.9993
S 0.8348 0.8703 0.3280
S 0.8669 0.8589 0.6691
S 0.8676 0.1899 0.9988
S 0.9890 0.3588 0.1674
O 0.0018 0.1929 0.3343
O 0.0030 0.5194 0.6641
O 0.0078 0.8548 0.9961
O 0.0121 0.2013 0.6689
O 0.0582 0.2986 0.4407
O 0.0600 0.4204 0.8784
O 0.0619 0.6249 0.7823
O 0.0645 0.0895 0.5494
O 0.0636 0.9613 0.1079
O 0.0679 0.2992 0.5559
O 0.0686 0.7542 0.2192
O 0.0700 0.7464 0.1050
O 0.0708 0.2840 0.1643
O 0.0751 0.6106 0.1630
O 0.0757 0.4068 0.7761
O 0.0781 0.4380 0.5015
O 0.0793 0.0809 0.4471
O 0.0789 0.2895 0.8340
O 0.0797 0.1059 0.1638
O 0.0825 0.6362 0.8959
O 0.0835 0.9612 0.5018
O 0.0840 0.4265 0.1676
O 0.0862 0.9454 0.8308
O 0.0878 0.1062 0.8306
O 0.0894 0.6089 0.5036
O 0.0908 0.9710 0.2216
O 0.0956 0.7673 0.4948
O 0.1010 0.7686 0.8348
O 0.2582 0.7662 0.3340
O 0.2633 0.1004 0.6638
O 0.2659 0.9480 0.3305
O 0.2714 0.1082 0.3320
O 0.2715 0.7535 0.6175
O 0.2717 0.2916 0.3322
O 0.2729 0.9575 0.0019
O 0.2732 0.9694 0.7236
O 0.2744 0.6135 0.6665
O 0.2737 0.7605 0.9976
O 0.2754 0.2919 0.6665
O 0.2773 0.4396 0.0017
O 0.2783 0.0788 0.9486
O 0.2798 0.6177 0.0002
O 0.2801 0.6407 0.3995
O 0.2824 0.4093 0.2749
O 0.2843 0.4340 0.6653
O 0.2880 0.9557 0.6100
O 0.2923 0.4213 0.3780
O 0.2929 0.2986 0.9419
O 0.2937 0.3019 0.0578
O 0.2946 0.0846 0.0508
O 0.3047 0.6178 0.2885
O 0.3066 0.7479 0.7303
O 0.3536 0.8562 0.4959
O 0.3549 0.5142 0.1650
O 0.3558 0.1919 0.1662
O 0.3626 0.1964 0.8371
O 0.3737 0.8664 0.8291
O 0.3773 0.5291 0.4976
O 0.3936 0.5140 0.8887
O 0.3952 0.1878 0.5432
O 0.3948 0.5339 0.7758
O 0.3954 0.8635 0.1186
O 0.4139 0.8594 0.2217
O 0.4183 0.1934 0.4405
O 0.4419 0.6933 0.9410
O 0.4429 0.3560 0.7237
O 0.4579 0.0366 0.2716
O 0.4628 0.6885 0.0438
O 0.4661 0.3623 0.6209
O 0.4718 0.0166 0.3837
O 0.4820 0.3639 0.3296
O 0.4839 0.0329 0.9985
O 0.5007 0.0133 0.6639
O 0.5041 0.6937 0.3374
O 0.5083 0.6961 0.6658
O 0.5096 0.3534 0.9938
O 0.5592 0.2522 0.2243
O 0.5622 0.4588 0.1075
O 0.5624 0.9203 0.8794
O 0.5632 0.5829 0.5506
O 0.5639 0.1153 0.7927
O 0.5693 0.8039 0.5584
O 0.5711 0.8030 0.4424
O 0.5742 0.9365 0.1637
O 0.5764 0.1430 0.9041
O 0.5785 0.9109 0.7769
O 0.5804 0.5783 0.4480
O 0.5807 0.1185 0.4998
O 0.5820 0.7913 0.8322
O 0.5844 0.2477 0.1104
O 0.5843 0.2611 0.4978
O 0.5835 0.9420 0.5036
O 0.5846 0.7945 0.1660
O 0.5874 0.4662 0.2199
O 0.5895 0.4439 0.8319
O 0.5898 0.6049 0.8327
O 0.5909 0.4569 0.5008
O 0.5925 0.1121 0.1658
O 0.5938 0.6010 0.1640
O 0.6052 0.2665 0.8337
O 0.7615 0.2691 0.3359
O 0.7662 0.4468 0.3322
O 0.7697 0.6042 0.6648
O 0.7732 0.6069 0.3309
O 0.7727 0.9274 0.6685
O 0.7737 0.2590 0.9972
O 0.7739 0.4592 0.0017
O 0.7735 0.7903 0.3324
O 0.7740 0.9400 0.0021
O 0.7755 0.1314 0.3905
O 0.7764 0.4720 0.7259
O 0.7770 0.5792 0.9472
O 0.7838 0.1158 0.0020
O 0.7846 0.7850 0.6656
O 0.7870 0.8011 0.0567
O 0.7872 0.9063 0.2739
O 0.7884 0.2520 0.6115
O 0.7887 0.1099 0.6629
O 0.7908 0.4580 0.6129
O 0.7919 0.5875 0.0496
O 0.7941 0.2460 0.7262
O 0.7949 0.9215 0.3760
O 0.7959 0.8004 0.9410
O 0.8011 0.1310 0.2763
O 0.8467 0.3520 0.4959
O 0.8496 0.7009 0.1677
O 0.8547 0.0152 0.1658
O 0.8607 0.6953 0.8361
O 0.8713 0.3640 0.8293
O 0.8738 0.0381 0.4980
O 0.8872 0.0350 0.7766
O 0.8944 0.0168 0.8896
O 0.8961 0.3660 0.1182
O 0.8978 0.6876 0.5557
O 0.9034 0.6879 0.4393
O 0.9082 0.3527 0.2207
O 0.9439 0.8539 0.7235
O 0.9528 0.1911 0.9468
O 0.9549 0.1902 0.0503
O 0.9611 0.5306 0.2718
O 0.9630 0.8673 0.6211
O 0.9709 0.5146 0.3843
O 0.9829 0.5361 0.9978
O 0.9853 0.8621 0.3297



(2)
First-principles (GGA-PBE) data for a relaxed Na4La2Si2SO12 crystal, as listed in the Materials Project database.

## Properties
Calculated formation energy (eV per atom): -2.856
M_tot (μB per formula unit): 0.0

Unit cell a=9.8435 b=9.8435 c=23.7197 alpha=90.19 beta=89.81 gamma=120.05
Fractional positions:
Na 0.6578 0.0013 0.2599
Na 0.3678 0.3875 0.2365
Na 0.9857 0.6119 0.2563
Na 0.6125 0.6322 0.7365
Na 0.9987 0.3422 0.7599
Na 0.3881 0.0143 0.7563
Na 0.3245 0.3346 0.5932
Na 0.0345 0.7209 0.5698
Na 0.6524 0.9452 0.5897
Na 0.2791 0.9655 0.0698
Na 0.6654 0.6755 0.0932
Na 0.0548 0.3476 0.0897
Na 0.9912 0.6679 0.9265
Na 0.7012 0.0542 0.9031
Na 0.3191 0.2785 0.9230
Na 0.9458 0.2988 0.4031
Na 0.3321 0.0088 0.4265
Na 0.7215 0.6809 0.4230
Na 0.9850 0.9677 0.5005
Na 0.0323 0.0150 0.0005
Na 0.6517 0.3010 0.8338
Na 0.6990 0.3483 0.3338
Na 0.3183 0.6344 0.1671
Na 0.3656 0.6817 0.6671
La 0.9861 0.9918 0.3471
La 0.0082 0.0139 0.8471
La 0.9999 0.0015 0.6536
La 0.9985 0.0001 0.1536
La 0.6528 0.3251 0.6804
La 0.6749 0.3472 0.1804
La 0.6666 0.3349 0.9869
La 0.6651 0.3334 0.4869
La 0.3194 0.6585 0.0137
La 0.3415 0.6806 0.5137
La 0.3333 0.6682 0.3202
La 0.3318 0.6667 0.8202
Si 0.6846 0.6879 0.2482
Si 0.9998 0.3112 0.2505
Si 0.3121 0.3154 0.7482
Si 0.6888 0.0002 0.7505
Si 0.3513 0.0212 0.5816
Si 0.6665 0.6445 0.5839
Si 0.9788 0.6487 0.0816
Si 0.3555 0.3335 0.0839
Si 0.0179 0.3545 0.9149
Si 0.3332 0.9778 0.9172
Si 0.6455 0.9821 0.4149
Si 0.0222 0.6668 0.4172
S 0.3101 0.0002 0.2506
S 0.9998 0.6899 0.7506
S 0.9767 0.3336 0.5839
S 0.6664 0.0233 0.0839
S 0.6434 0.6669 0.9173
S 0.3331 0.3566 0.4173
O 0.2324 0.0158 0.3018
O 0.7934 0.7794 0.3036
O 0.9923 0.2105 0.3072
O 0.2206 0.2066 0.8036
O 0.9842 0.7676 0.8018
O 0.7895 0.0077 0.8072
O 0.7779 0.9847 0.6939
O 0.2101 0.2263 0.6913
O 0.0093 0.7831 0.6997
O 0.7737 0.7899 0.1913
O 0.0153 0.2221 0.1939
O 0.2169 0.9907 0.1997
O 0.8990 0.3492 0.6351
O 0.4601 0.1128 0.6369
O 0.6589 0.5438 0.6405
O 0.8872 0.5399 0.1369
O 0.6508 0.1010 0.1351
O 0.4562 0.3411 0.1405
O 0.4446 0.3181 0.0272
O 0.8768 0.5596 0.0246
O 0.6760 0.1164 0.0330
O 0.4404 0.1232 0.5246
O 0.6819 0.5554 0.5272
O 0.8836 0.3240 0.5330
O 0.5657 0.6825 0.9685
O 0.1267 0.4461 0.9702
O 0.3256 0.8771 0.9739
O 0.5539 0.8733 0.4702
O 0.3175 0.4343 0.4685
O 0.1229 0.6744 0.4739
O 0.1112 0.6514 0.3605
O 0.5435 0.8929 0.3579
O 0.3426 0.4497 0.3664
O 0.1071 0.4565 0.8579
O 0.3486 0.8888 0.8605
O 0.5503 0.6574 0.8664
O 0.0146 0.8320 0.4179
O 0.8240 0.0042 0.4156
O 0.1949 0.1952 0.4140
O 0.9958 0.1760 0.9156
O 0.1680 0.9854 0.9179
O 0.8048 0.8051 0.9140
O 0.9869 0.1878 0.5851
O 0.1755 0.0052 0.5835
O 0.8213 0.8243 0.5835
O 0.9948 0.8245 0.0835
O 0.8122 0.0131 0.0851
O 0.1757 0.1787 0.0835
O 0.6813 0.1653 0.7512
O 0.4906 0.3375 0.7489
O 0.8615 0.5285 0.7474
O 0.6625 0.5094 0.2489
O 0.8347 0.3187 0.2512
O 0.4715 0.1385 0.2474
O 0.6536 0.5211 0.9184
O 0.8422 0.3386 0.9168
O 0.4880 0.1576 0.9168
O 0.6614 0.1578 0.4168
O 0.4789 0.3464 0.4184
O 0.8424 0.5120 0.4168
O 0.3480 0.4987 0.0845
O 0.1573 0.6709 0.0822
O 0.5282 0.8619 0.0807
O 0.3291 0.8427 0.5822
O 0.5013 0.6520 0.5845
O 0.1381 0.4718 0.5807
O 0.3203 0.8545 0.2517
O 0.5088 0.6719 0.2501
O 0.1546 0.4909 0.2501
O 0.3281 0.4912 0.7501
O 0.1455 0.6797 0.7517
O 0.5091 0.8454 0.7501



Look up the calculated formation energy of the second one. -2.856 eV per atom



Look up the M_tot of the second one. 0.0 μB per formula unit